(1)
YCu5Sn: relaxed, PBE-GGA.

Cell lengths 4.9976, 8.2069, 10.5334 Å; angles 90.00, 90.00, 90.00 degrees
Closest atoms and distances in Å follow each position.
Element x y z (fractional)
Y1 0.2500 0.7544 0.0632  10 Cu 2.89-3.20
Y2 0.7500 0.2456 0.9368  10 Cu 2.89-3.20
Y3 0.7500 0.7456 0.5632  10 Cu 2.89-3.20
Y4 0.2500 0.2544 0.4368  10 Cu 2.89-3.20
Cu1 0.2500 0.8140 0.7461  7 Cu 2.49-2.58
Cu2 0.7500 0.1860 0.2539  7 Cu 2.49-2.58
Cu3 0.7500 0.6860 0.2461  7 Cu 2.49-2.58
Cu4 0.2500 0.3140 0.7539  7 Cu 2.49-2.58
Cu5 0.5010 0.5650 0.8130  7 Cu 2.49-2.55, 2 Sn 2.76-2.79
Cu6 0.4990 0.4350 0.1870  7 Cu 2.49-2.55, 2 Sn 2.76-2.79
Cu7 0.4990 0.9350 0.3130  7 Cu 2.49-2.55, 2 Sn 2.76-2.79
Cu8 0.0010 0.4350 0.1870  7 Cu 2.49-2.55, 2 Sn 2.76-2.79
Cu9 0.5010 0.0650 0.6870  7 Cu 2.49-2.55, 2 Sn 2.76-2.79
Cu10 0.9990 0.5650 0.8130  7 Cu 2.49-2.55, 2 Sn 2.76-2.79
Cu11 0.9990 0.0650 0.6870  7 Cu 2.49-2.55, 2 Sn 2.76-2.79
Cu12 0.0010 0.9350 0.3130  7 Cu 2.49-2.55, 2 Sn 2.76-2.79
Cu13 0.2500 0.9125 0.5177  5 Cu 2.50-2.54, 1 Sn 2.77
Cu14 0.7500 0.0875 0.4823  5 Cu 2.50-2.54, 1 Sn 2.77
Cu15 0.7500 0.5875 0.0177  5 Cu 2.50-2.54, 1 Sn 2.77
Cu16 0.2500 0.4125 0.9823  5 Cu 2.50-2.54, 1 Sn 2.77
Cu17 0.2500 0.5583 0.6029  4 Cu 2.55-2.58, 1 Sn 2.64
Cu18 0.7500 0.4417 0.3971  4 Cu 2.55-2.58, 1 Sn 2.64
Cu19 0.7500 0.9417 0.1029  4 Cu 2.55-2.58, 1 Sn 2.64
Cu20 0.2500 0.0583 0.8971  4 Cu 2.55-2.58, 1 Sn 2.64
Sn1 0.2500 0.6408 0.3610  8 Cu 2.64-2.80
Sn2 0.7500 0.3592 0.6390  8 Cu 2.64-2.80
Sn3 0.7500 0.8592 0.8610  8 Cu 2.64-2.80
Sn4 0.2500 0.1408 0.1390  8 Cu 2.64-2.80

Calculated values
- crystal system = orthorhombic
- SG = Pnma
- total magnetic moment (μB/f.u.) = 0.000
- DFT formation energy (eV per atom) = -0.254

***

(2)
Y2Cu3Sn3: relaxed, PBE-GGA.

Cell lengths 3.0463, 3.0463, 22.2598 Å; angles 90.00, 90.00, 90.00 degrees
Closest atoms and distances in Å follow each position.
Element x y z (fractional)
Y1 0.5000 0.5000 0.7564  1 Cu 2.81, 4 Y 3.05
Y2 0.5000 0.5000 0.2436  1 Cu 2.81, 4 Y 3.05
Cu1 0.5000 0.5000 0.1172  1 Sn 2.61, 1 Y 2.81
Cu2 0.5000 0.5000 0.8828  1 Sn 2.61, 1 Y 2.81
Cu3 0.5000 0.5000 0.5000  2 Sn 2.53
Sn1 0.5000 0.5000 0.3861  1 Cu 2.53
Sn2 0.5000 0.5000 0.6139  1 Cu 2.53
Sn3 0.5000 0.5000 0.0000  2 Cu 2.61

Calculated values
- crystal system = tetragonal
- SG = P4/mmm
- total magnetic moment (μB/f.u.) = 0.012
- DFT formation energy (eV per atom) = 0.567

***

(3)
Y3Cu4Sn4: relaxed, PBE-GGA.

Cell lengths 8.4517, 8.4517, 8.4517 Å; angles 149.18, 131.22, 58.82 degrees
Closest atoms and distances in Å follow each position.
Element x y z (fractional)
Y1 0.5000 0.0000 0.5000  6 Sn 3.05-3.18
Y2 0.8695 0.8695 0.0000  6 Sn 3.19-3.28, 6 Cu 3.19
Y3 0.1305 0.1305 0.0000  6 Sn 3.19-3.28, 6 Cu 3.19
Cu1 0.4839 0.6717 0.8121  1 Cu 2.62, 4 Sn 2.64-2.73
Cu2 0.8596 0.6717 0.1879  1 Cu 2.62, 4 Sn 2.64-2.73
Cu3 0.1404 0.3283 0.8121  1 Cu 2.62, 4 Sn 2.64-2.73
Cu4 0.5161 0.3283 0.1879  1 Cu 2.62, 4 Sn 2.64-2.73
Sn1 0.2839 0.7839 0.5000  6 Cu 2.68-2.73
Sn2 0.7161 0.2161 0.5000  6 Cu 2.68-2.73
Sn3 0.7965 0.5000 0.2965  2 Cu 2.64, 1 Sn 2.84
Sn4 0.2035 0.5000 0.7035  2 Cu 2.64, 1 Sn 2.84

Calculated values
- crystal system = orthorhombic
- SG = Immm
- DFT formation energy (eV per atom) = -0.524

***

(4)
SrCu5: relaxed, PBE-GGA.

Cell lengths 3.9972, 5.2807, 5.2807 Å; angles 60.00, 90.00, 90.00 degrees
Closest atoms and distances in Å follow each position.
Element x y z (fractional)
Sr1 0.0000 0.0000 0.0000  18 Cu 3.05-3.31
Cu1 0.5000 0.5000 0.0000  8 Cu 2.51-2.64
Cu2 0.0000 0.6667 0.6667  6 Cu 2.51
Cu3 0.0000 0.3333 0.3333  6 Cu 2.51
Cu4 0.5000 0.5000 0.5000  8 Cu 2.51-2.64
Cu5 0.5000 0.0000 0.5000  8 Cu 2.51-2.64

Calculated values
- crystal system = hexagonal
- SG = P6/mmm
- DFT formation energy (eV per atom) = -0.063

***

(5)
Sr3Cu: relaxed, PBE-GGA.

Cell lengths 5.4410, 5.4410, 5.4410 Å; angles 90.00, 90.00, 90.00 degrees
Closest atoms and distances in Å follow each position.
Element x y z (fractional)
Sr1 0.5000 0.5000 0.0000  4 Cu 3.85, 8 Sr 3.85
Sr2 0.5000 0.0000 0.5000  4 Cu 3.85, 8 Sr 3.85
Sr3 0.0000 0.5000 0.5000  4 Cu 3.85, 8 Sr 3.85
Cu1 0.0000 0.0000 0.0000  12 Sr 3.85

Calculated values
- crystal system = cubic
- SG = Pm-3m
- total magnetic moment (μB/f.u.) = 0.016
- DFT formation energy (eV per atom) = 0.246

***

(6)
SrCu: relaxed, PBE-GGA.

Cell lengths 4.3438, 4.3438, 15.3580 Å; angles 90.00, 90.00, 120.00 degrees
Closest atoms and distances in Å follow each position.
Element x y z (fractional)
Sr1 0.3333 0.6667 0.3803  6 Cu 3.21
Sr2 0.6667 0.3333 0.6197  6 Cu 3.21
Sr3 0.6667 0.3333 0.8803  6 Cu 3.21
Sr4 0.3333 0.6667 0.1197  6 Cu 3.21
Cu1 0.0000 0.0000 0.2500  3 Cu 2.51
Cu2 0.0000 0.0000 0.7500  3 Cu 2.51
Cu3 0.3333 0.6667 0.7500  3 Cu 2.51
Cu4 0.6667 0.3333 0.2500  3 Cu 2.51

Calculated values
- crystal system = hexagonal
- SG = P6_3/mmc
- DFT formation energy (eV per atom) = -0.106

***

(7)
TaCu3Te4: relaxed, PBE-GGA.

Cell lengths 5.9876, 5.9876, 5.9876 Å; angles 90.00, 90.00, 90.00 degrees
Closest atoms and distances in Å follow each position.
Element x y z (fractional)
Ta1 0.0000 0.0000 0.0000  4 Te 2.67
Cu1 0.0000 0.5000 0.0000  4 Te 2.62
Cu2 0.5000 0.0000 0.0000  4 Te 2.62
Cu3 0.0000 0.0000 0.5000  4 Te 2.62
Te1 0.2572 0.7428 0.7428  3 Cu 2.62, 1 Ta 2.67
Te2 0.2572 0.2572 0.2572  3 Cu 2.62, 1 Ta 2.67
Te3 0.7428 0.2572 0.7428  3 Cu 2.62, 1 Ta 2.67
Te4 0.7428 0.7428 0.2572  3 Cu 2.62, 1 Ta 2.67

Calculated values
- crystal system = cubic
- maximum piezoelectric response (C/m²) = 0.06
- SG = P-43m
- DFT formation energy (eV per atom) = -0.476

***

(8)
TaVCu: relaxed, PBE-GGA.

Cell lengths 5.0104, 5.0104, 5.0104 Å; angles 122.87, 119.45, 88.03 degrees
Closest atoms and distances in Å follow each position.
Element x y z (fractional)
Ta1 0.1295 0.8795 0.2500  6 Cu 2.84-3.01, 6 V 2.93-2.95, 4 Ta 3.04-3.07
Ta2 0.8705 0.1205 0.7500  6 Cu 2.84-3.01, 6 V 2.93-2.95, 4 Ta 3.04-3.07
V1 0.5000 0.0000 0.0000  2 V 2.40, 4 Cu 2.51
V2 0.5000 0.5000 0.5000  2 V 2.40, 4 Cu 2.51
Cu1 0.0000 0.5000 0.5000  4 V 2.51, 2 Cu 2.53
Cu2 0.5000 0.5000 0.0000  4 V 2.51, 2 Cu 2.53

Calculated values
- crystal system = orthorhombic
- SG = Imma
- total magnetic moment (μB/f.u.) = 0.004
- DFT formation energy (eV per atom) = 0.075

***

(9)
TbCu5: relaxed, PBE-GGA.

Cell lengths 4.9827, 4.9827, 4.9827 Å; angles 60.00, 60.00, 60.00 degrees
Closest atoms and distances in Å follow each position.
Element x y z (fractional)
Tb1 0.0000 0.0000 0.0000  16 Cu 2.92-3.05
Cu1 0.2500 0.2500 0.2500  12 Cu 2.92, 4 Tb 3.05
Cu2 0.6237 0.6237 0.1288  6 Cu 2.47-2.52
Cu3 0.6237 0.1288 0.6237  6 Cu 2.47-2.52
Cu4 0.1288 0.6237 0.6237  6 Cu 2.47-2.52
Cu5 0.6237 0.6237 0.6237  6 Cu 2.47-2.52

Calculated values
- crystal system = cubic
- SG = F-43m
- DFT formation energy (eV per atom) = -0.182

***

(10)
Tb6Cu23: relaxed, PBE-GGA.

Cell lengths 8.5876, 8.5876, 8.5876 Å; angles 60.00, 60.00, 60.00 degrees
Closest atoms and distances in Å follow each position.
Element x y z (fractional)
Tb1 0.7130 0.2870 0.2870  12 Cu 2.90-3.07
Tb2 0.7130 0.2870 0.7130  12 Cu 2.90-3.07
Tb3 0.7130 0.7130 0.2870  12 Cu 2.90-3.07
Tb4 0.2870 0.7130 0.7130  12 Cu 2.90-3.07
Tb5 0.2870 0.7130 0.2870  12 Cu 2.90-3.07
Tb6 0.2870 0.2870 0.7130  12 Cu 2.90-3.07
Cu1 0.0000 0.0000 0.0000  8 Cu 2.56
Cu2 0.5000 0.0000 0.0000  8 Cu 2.48-2.65
Cu3 0.5000 0.0000 0.5000  8 Cu 2.48-2.65
Cu4 0.5000 0.5000 0.0000  8 Cu 2.48-2.65
Cu5 0.0000 0.5000 0.5000  8 Cu 2.48-2.65
Cu6 0.0000 0.5000 0.0000  8 Cu 2.48-2.65
Cu7 0.0000 0.0000 0.5000  8 Cu 2.48-2.65
Cu8 0.6353 0.1216 0.1216  7 Cu 2.56-2.65
Cu9 0.1216 0.6353 0.1216  7 Cu 2.56-2.65
Cu10 0.1216 0.1216 0.6353  7 Cu 2.56-2.65
Cu11 0.1216 0.1216 0.1216  7 Cu 2.56-2.65
Cu12 0.3647 0.8784 0.8784  7 Cu 2.56-2.65
Cu13 0.8784 0.3647 0.8784  7 Cu 2.56-2.65
Cu14 0.8784 0.8784 0.3647  7 Cu 2.56-2.65
Cu15 0.8784 0.8784 0.8784  7 Cu 2.56-2.65
Cu16 0.0207 0.3264 0.3264  9 Cu 2.48-2.64
Cu17 0.3264 0.0207 0.3264  9 Cu 2.48-2.64
Cu18 0.3264 0.3264 0.0207  9 Cu 2.48-2.64
Cu19 0.3264 0.3264 0.3264  9 Cu 2.48-2.64
Cu20 0.9793 0.6736 0.6736  9 Cu 2.48-2.64
Cu21 0.6736 0.9793 0.6736  9 Cu 2.48-2.64
Cu22 0.6736 0.6736 0.9793  9 Cu 2.48-2.64
Cu23 0.6736 0.6736 0.6736  9 Cu 2.48-2.64

Calculated values
- crystal system = cubic
- SG = Fm-3m
- DFT formation energy (eV per atom) = -0.188

***

(11)
TbCu5: relaxed, PBE-GGA.

Cell lengths 5.0008, 5.0008, 4.1331 Å; angles 90.00, 90.00, 120.00 degrees
Closest atoms and distances in Å follow each position.
Element x y z (fractional)
Tb1 0.0000 0.0000 0.0000  6 Cu 2.89
Cu1 0.5000 0.0000 0.5000  8 Cu 2.50-2.52
Cu2 0.0000 0.5000 0.5000  8 Cu 2.50-2.52
Cu3 0.6667 0.3333 0.0000  6 Cu 2.52
Cu4 0.5000 0.5000 0.5000  8 Cu 2.50-2.52
Cu5 0.3333 0.6667 0.0000  6 Cu 2.52

Calculated values
- crystal system = hexagonal
- SG = P6/mmm
- DFT formation energy (eV per atom) = -0.189

***

(12)
TbCu: relaxed, PBE-GGA.

Cell lengths 3.4812, 3.4812, 3.4812 Å; angles 90.00, 90.00, 90.00 degrees
Closest atoms and distances in Å follow each position.
Element x y z (fractional)
Tb1 0.5000 0.5000 0.5000  8 Cu 3.01
Cu1 0.0000 0.0000 0.0000  8 Tb 3.01

Calculated values
- crystal system = cubic
- SG = Pm-3m
- DFT formation energy (eV per atom) = -0.239

***

Repeat the ninth record exactly.
TbCu5: relaxed, PBE-GGA.

Cell lengths 4.9827, 4.9827, 4.9827 Å; angles 60.00, 60.00, 60.00 degrees
Closest atoms and distances in Å follow each position.
Element x y z (fractional)
Tb1 0.0000 0.0000 0.0000  16 Cu 2.92-3.05
Cu1 0.2500 0.2500 0.2500  12 Cu 2.92, 4 Tb 3.05
Cu2 0.6237 0.6237 0.1288  6 Cu 2.47-2.52
Cu3 0.6237 0.1288 0.6237  6 Cu 2.47-2.52
Cu4 0.1288 0.6237 0.6237  6 Cu 2.47-2.52
Cu5 0.6237 0.6237 0.6237  6 Cu 2.47-2.52

Calculated values
- crystal system = cubic
- SG = F-43m
- DFT formation energy (eV per atom) = -0.182

***

> Look up the DFT formation energy of the fifth one.

0.246 eV per atom

***

> Which value of DFT formation energy does entry 9 give?

-0.182 eV per atom